Here is a relaxed Si3N4 crystal from the Materials Project database. Energies are from GGA-PBE.

Lattice parameters (Å, degrees): 7.4150 7.4150 6.2511 90.00 90.00 120.00
Last column: nearest neighbours and their distance in Å.
Element x y z (fractional)
Si1 0.0644 0.8272 0.0000  5 N 1.77-1.94
Si2 0.1098 0.4894 0.7208  3 N 1.79-1.82
Si3 0.1728 0.2372 0.0000  5 N 1.77-1.94
Si4 0.2372 0.1728 0.5000  5 N 1.77-1.94
Si5 0.3796 0.8902 0.7208  3 N 1.79-1.82
Si6 0.4894 0.1098 0.2208  3 N 1.79-1.82
Si7 0.5106 0.6204 0.7208  3 N 1.79-1.82
Si8 0.6204 0.5106 0.2208  3 N 1.79-1.82
Si9 0.7628 0.9356 0.0000  5 N 1.77-1.94
Si10 0.8272 0.0644 0.5000  5 N 1.77-1.94
Si11 0.8902 0.3796 0.2208  3 N 1.79-1.82
Si12 0.9356 0.7628 0.5000  5 N 1.77-1.94
N1 0.0000 0.0000 0.1504  1 N 1.27
N2 0.0000 0.0000 0.3531  1 N 1.27
N3 0.0000 0.0000 0.6504  1 N 1.27
N4 0.0000 0.0000 0.8531  1 N 1.27
N5 0.0395 0.3798 0.9895  3 Si 1.77-1.82
N6 0.0515 0.6962 0.7275  3 Si 1.79-1.94
N7 0.3038 0.3553 0.7275  3 Si 1.79-1.94
N8 0.3403 0.9605 0.9895  3 Si 1.77-1.82
N9 0.3553 0.3038 0.2275  3 Si 1.79-1.94
N10 0.3798 0.0395 0.4895  3 Si 1.77-1.82
N11 0.6202 0.6597 0.9895  3 Si 1.77-1.82
N12 0.6447 0.9485 0.7275  3 Si 1.79-1.94
N13 0.6597 0.6202 0.4895  3 Si 1.77-1.82
N14 0.6962 0.0515 0.2275  3 Si 1.79-1.94
N15 0.9485 0.6447 0.2275  3 Si 1.79-1.94
N16 0.9605 0.3403 0.4895  3 Si 1.77-1.82

Properties
Calculated density   3.1 g cm⁻³
Magnetization   0.000 μB per formula unit
Distance to the lowest polymorph of the same formula   707 meV/atom
Calculated formation energy   -0.59 eV/atom

***

Here is a relaxed Si3N2 crystal from the Materials Project database. Energies are from GGA-PBE.

Lattice parameters (Å, degrees): 6.7003 6.7003 6.7003 90.00 90.00 90.00
Last column: nearest neighbours and their distance in Å.
Element x y z (fractional)
Si1 0.0000 0.3217 0.3217  2 N 1.76
Si2 0.0000 0.3217 0.6783  2 N 1.76
Si3 0.0000 0.6783 0.3217  2 N 1.76
Si4 0.0000 0.6783 0.6783  2 N 1.76
Si5 0.3217 0.0000 0.3217  2 N 1.76
Si6 0.3217 0.0000 0.6783  2 N 1.76
Si7 0.3217 0.3217 0.0000  2 N 1.76
Si8 0.3217 0.6783 0.0000  2 N 1.76
Si9 0.6783 0.0000 0.3217  2 N 1.76
Si10 0.6783 0.0000 0.6783  2 N 1.76
Si11 0.6783 0.3217 0.0000  2 N 1.76
Si12 0.6783 0.6783 0.0000  2 N 1.76
N1 0.2214 0.2214 0.2214  3 Si 1.76
N2 0.2214 0.2214 0.7786  3 Si 1.76
N3 0.2214 0.7786 0.2214  3 Si 1.76
N4 0.2214 0.7786 0.7786  3 Si 1.76
N5 0.7786 0.2214 0.2214  3 Si 1.76
N6 0.7786 0.2214 0.7786  3 Si 1.76
N7 0.7786 0.7786 0.2214  3 Si 1.76
N8 0.7786 0.7786 0.7786  3 Si 1.76

Properties
Calculated density   2.5 g cm⁻³
Magnetization   0.000 μB per formula unit
Calculated formation energy   -0.66 eV/atom